## P
Computed, not measured: Na6CoO4 after structural relaxation at the PBE with a Hubbard U level of DFT.

Cell: 9.324 9.324 9.324 Å, 109.47 109.47 109.47°
Sites, in units of the cell vectors:
O (0.278, 0.278, 0.488)
O (0.512, 0.790, 0.790)
O (0.000, 0.000, 0.000)
O (0.210, 0.722, 0.000)
O (0.500, 0.500, 0.000)
O (0.722, 0.210, 0.000)
O (0.790, 0.790, 0.512)
O (0.210, 0.000, 0.722)
O (0.488, 0.278, 0.278)
O (0.000, 0.722, 0.210)
O (0.000, 0.210, 0.722)
O (0.500, 0.000, 0.500)
O (0.000, 0.500, 0.500)
O (0.790, 0.512, 0.790)
O (0.278, 0.488, 0.278)
O (0.722, 0.000, 0.210)
Na (0.538, 0.271, 0.538)
Na (0.000, 0.733, 0.462)
Na (0.267, 0.729, 0.267)
Na (0.216, 0.431, 0.000)
Na (0.000, 0.462, 0.733)
Na (0.538, 0.538, 0.271)
Na (0.784, 0.784, 0.215)
Na (0.267, 0.267, 0.729)
Na (0.569, 0.569, 0.785)
Na (0.216, 0.000, 0.431)
Na (0.431, 0.000, 0.216)
Na (0.271, 0.538, 0.538)
Na (0.733, 0.462, 0.000)
Na (0.462, 0.733, 0.000)
Na (0.733, 0.000, 0.462)
Na (0.569, 0.785, 0.569)
Na (0.785, 0.569, 0.569)
Na (0.784, 0.215, 0.784)
Na (0.729, 0.267, 0.267)
Na (0.000, 0.216, 0.431)
Na (0.215, 0.784, 0.784)
Na (0.431, 0.216, 0.000)
Na (0.000, 0.431, 0.216)
Na (0.462, 0.000, 0.733)
Co (0.747, 0.000, 0.000)
Co (0.253, 0.253, 0.253)
Co (0.000, 0.747, 0.000)
Co (0.000, 0.000, 0.747)

Summary:
Total magnetic moment: 3.0 μB per formula unit
Piezoelectric modulus e_max: 5.39 C/m²
Symmetry: I-43m (217)

## Q
Computed, not measured: Na6CoO4 after structural relaxation at the PBE with a Hubbard U level of DFT.

Cell: 9.269 9.269 9.269 Å, 107.59 69.58 69.58°
Sites, in units of the cell vectors:
Co (0.750, 0.625, 0.375)
Co (0.250, 0.875, 0.125)
Co (0.250, 0.375, 0.625)
Co (0.750, 0.125, 0.875)
O (0.750, 0.413, 0.408)
O (0.250, 0.587, 0.592)
O (0.250, 0.087, 0.092)
O (0.250, 0.342, 0.837)
O (0.250, 0.842, 0.337)
O (0.495, 0.663, 0.913)
O (0.995, 0.092, 0.842)
O (0.995, 0.592, 0.342)
O (0.750, 0.158, 0.663)
O (0.505, 0.837, 0.587)
O (0.750, 0.913, 0.908)
O (0.495, 0.163, 0.413)
O (0.005, 0.408, 0.658)
O (0.005, 0.908, 0.158)
O (0.750, 0.658, 0.163)
O (0.505, 0.337, 0.087)
Na (0.463, 0.125, 0.162)
Na (0.463, 0.625, 0.662)
Na (0.463, 0.912, 0.375)
Na (0.037, 0.338, 0.375)
Na (0.037, 0.625, 0.088)
Na (0.963, 0.875, 0.412)
Na (0.250, 0.081, 0.831)
Na (0.537, 0.588, 0.125)
Na (0.537, 0.088, 0.625)
Na (0.463, 0.412, 0.875)
Na (0.750, 0.169, 0.419)
Na (0.963, 0.162, 0.125)
Na (0.537, 0.375, 0.338)
Na (0.963, 0.375, 0.912)
Na (0.963, 0.662, 0.625)
Na (0.537, 0.875, 0.838)
Na (0.250, 0.331, 0.081)
Na (0.750, 0.419, 0.669)
Na (0.037, 0.838, 0.875)
Na (0.750, 0.919, 0.169)
Na (0.250, 0.581, 0.331)
Na (0.250, 0.831, 0.581)
Na (0.037, 0.125, 0.588)
Na (0.750, 0.669, 0.919)

Summary:
Total magnetic moment: 0.0 μB per formula unit

The structure with the most favorable energy is Q; the runner-up is 0.027 eV/atom above it.